A plane-wave DFT calculation with PBE+U was carried out for a relaxed structure of LiMnPO4.

Results
Energy of formation from the pure elements = -2.57 eV per atom
Density = 3.2 g/cm3
Symmetry = No. 14
Distance to the lowest polymorph of the same formula = 60.0 meV/atom

a b c (Å): 8.4936 7.7286 17.1911
angles (deg): 90.00 118.98 90.00
Element x y z (fractional)
Li 0.0355 0.2231 0.4225
Li 0.0355 0.2769 0.9225
Li 0.3197 0.2242 0.2323
Li 0.3197 0.2758 0.7323
Li 0.3498 0.7302 0.4064
Li 0.3498 0.7698 0.9064
Li 0.6502 0.2302 0.0936
Li 0.6502 0.2698 0.5936
Li 0.6803 0.7242 0.2677
Li 0.6803 0.7758 0.7677
Li 0.9645 0.7231 0.0775
Li 0.9645 0.7769 0.5775
Mn 0.0099 0.0690 0.2480
Mn 0.0099 0.4310 0.7480
Mn 0.2984 0.5260 0.5667
Mn 0.2984 0.9740 0.0667
Mn 0.3501 0.5243 0.0915
Mn 0.3501 0.9757 0.5915
Mn 0.6499 0.0243 0.4085
Mn 0.6499 0.4757 0.9085
Mn 0.7016 0.0260 0.9333
Mn 0.7016 0.4740 0.4333
Mn 0.9901 0.5690 0.2520
Mn 0.9901 0.9310 0.7520
P 0.0261 0.6774 0.9243
P 0.0261 0.8226 0.4243
P 0.3113 0.6795 0.7310
P 0.3113 0.8205 0.2310
P 0.3562 0.1780 0.9092
P 0.3562 0.3220 0.4092
P 0.6438 0.6780 0.5908
P 0.6438 0.8220 0.0908
P 0.6887 0.1795 0.7690
P 0.6887 0.3205 0.2690
P 0.9739 0.1774 0.5757
P 0.9739 0.3226 0.0757
O 0.0809 0.7064 0.5080
O 0.0809 0.7936 0.0080
O 0.0831 0.7310 0.3607
O 0.0831 0.7690 0.8607
O 0.1343 0.7238 0.2095
O 0.1343 0.7762 0.7095
O 0.1362 0.5068 0.9550
O 0.1362 0.9932 0.4550
O 0.1782 0.1400 0.6247
O 0.1782 0.3600 0.1247
O 0.2292 0.2280 0.3204
O 0.2292 0.2720 0.8204
O 0.2520 0.5051 0.6784
O 0.2520 0.9949 0.1784
O 0.2529 0.1434 0.9615
O 0.2529 0.3566 0.4615
O 0.4147 0.0042 0.8854
O 0.4147 0.4958 0.3854
O 0.4197 0.7163 0.1957
O 0.4197 0.7837 0.6957
O 0.4241 0.6418 0.8319
O 0.4241 0.8582 0.3319
O 0.4701 0.7131 0.0349
O 0.4701 0.7869 0.5349
O 0.5299 0.2131 0.4651
O 0.5299 0.2869 0.9651
O 0.5759 0.1418 0.6681
O 0.5759 0.3582 0.1681
O 0.5803 0.2163 0.3043
O 0.5803 0.2837 0.8043
O 0.5853 0.5042 0.6146
O 0.5853 0.9958 0.1146
O 0.7471 0.6434 0.5385
O 0.7471 0.8566 0.0385
O 0.7480 0.0051 0.8216
O 0.7480 0.4949 0.3216
O 0.7708 0.7280 0.1796
O 0.7708 0.7720 0.6796
O 0.8218 0.6400 0.8753
O 0.8218 0.8600 0.3753
O 0.8638 0.0068 0.5450
O 0.8638 0.4932 0.0450
O 0.8657 0.2238 0.2905
O 0.8657 0.2762 0.7905
O 0.9169 0.2310 0.1393
O 0.9169 0.2690 0.6393
O 0.9191 0.2064 0.9920
O 0.9191 0.2936 0.4920

A plane-wave DFT calculation with PBE+U was carried out for a relaxed structure of LiMnP2O7.

Results
Energy of formation from the pure elements = -2.55 eV per atom
Density = 3.0 g/cm3
Symmetry = No. 7
Distance to the lowest polymorph of the same formula = 17.0 meV/atom

a b c (Å): 7.1246 8.1895 9.7189
angles (deg): 90.00 111.88 90.00
Element x y z (fractional)
Li 0.0000 0.1282 0.0000
Li 0.0000 0.8718 0.5000
Li 0.3764 0.3277 0.3602
Li 0.3764 0.6723 0.8602
Mn 0.2854 0.2515 0.8667
Mn 0.2854 0.7485 0.3667
Mn 0.7942 0.2520 0.3667
Mn 0.7942 0.7480 0.8667
P 0.1269 0.4926 0.0724
P 0.1269 0.5074 0.5724
P 0.4360 0.9998 0.1676
P 0.4360 0.0002 0.6676
P 0.7059 0.4230 0.0504
P 0.7059 0.5770 0.5504
P 0.8546 0.0706 0.6823
P 0.8546 0.9294 0.1823
O 0.0641 0.3558 0.4747
O 0.0641 0.6442 0.9747
O 0.2291 0.4774 0.7384
O 0.2291 0.5226 0.2384
O 0.2622 0.3774 0.0268
O 0.2622 0.6226 0.5268
O 0.3039 0.1170 0.7148
O 0.3039 0.8830 0.2148
O 0.3107 0.0455 0.0087
O 0.3107 0.9545 0.5087
O 0.5131 0.1465 0.2745
O 0.5131 0.8535 0.7745
O 0.5811 0.2852 0.9532
O 0.5811 0.7148 0.4532
O 0.6279 0.1085 0.6731
O 0.6279 0.8915 0.1731
O 0.6487 0.4052 0.4876
O 0.6487 0.5948 0.9876
O 0.7259 0.4189 0.2135
O 0.7259 0.5811 0.7135
O 0.8577 0.0823 0.5241
O 0.8577 0.9177 0.0241
O 0.9101 0.1034 0.2356
O 0.9101 0.8966 0.7356
O 0.9284 0.3795 0.0463
O 0.9284 0.6205 0.5463
O 0.9801 0.2005 0.7920
O 0.9801 0.7995 0.2920

A plane-wave DFT calculation with PBE+U was carried out for a relaxed structure of LiMn2P2O8.

Results
Energy of formation from the pure elements = -2.51 eV per atom
Density = 3.4 g/cm3
Symmetry = No. 2
Distance to the lowest polymorph of the same formula = 29.3 meV/atom

a b c (Å): 6.7613 8.5602 8.7164
angles (deg): 91.36 108.92 108.49
Element x y z (fractional)
Li 0.0000 0.0000 0.0000
Li 0.2563 0.4903 0.4934
Li 0.7437 0.5097 0.5066
Mn 0.1387 0.8815 0.5597
Mn 0.2592 0.7812 0.2178
Mn 0.3599 0.4360 0.1182
Mn 0.6401 0.5640 0.8818
Mn 0.7408 0.2188 0.7822
Mn 0.8613 0.1185 0.4403
P 0.1146 0.6241 0.8345
P 0.2449 0.2016 0.7892
P 0.3755 0.1611 0.3823
P 0.6245 0.8389 0.6177
P 0.7551 0.7984 0.2108
P 0.8854 0.3759 0.1655
O 0.0400 0.2360 0.6665
O 0.0884 0.6686 0.6550
O 0.1125 0.5159 0.1902
O 0.1502 0.7692 0.9566
O 0.1948 0.0973 0.4658
O 0.2253 0.2206 0.9596
O 0.2499 0.0228 0.7647
O 0.3039 0.0402 0.2268
O 0.3071 0.5513 0.8929
O 0.3942 0.8253 0.4908
O 0.3970 0.3432 0.3495
O 0.4622 0.3209 0.7709
O 0.5378 0.6791 0.2291
O 0.6030 0.6568 0.6505
O 0.6058 0.1747 0.5092
O 0.6929 0.4487 0.1071
O 0.6961 0.9598 0.7732
O 0.7501 0.9772 0.2353
O 0.7747 0.7794 0.0404
O 0.8052 0.9027 0.5342
O 0.8498 0.2308 0.0434
O 0.8875 0.4841 0.8098
O 0.9116 0.3314 0.3450
O 0.9600 0.7640 0.3335